# 1
## Ti3O4 (r2SCAN)

Data for an optimized crystal structure of Ti3O4.

Unit cell a=5.8405 b=8.1432 c=3.0142 alpha=90.00 beta=90.00 gamma=90.00
Space group Cmmm (No. 65)
Unique sites:
1 Ti 0.0000 0.0000 0.0000 (multiplicity 2)
2 Ti 0.2500 0.2500 0.5000 (multiplicity 4)
3 O 0.0000 0.2571 0.0000 (multiplicity 4)
4 O 0.2350 0.0000 0.5000 (multiplicity 4)

Total energy   -0.4383 hartree per atom
Energy relative to the lowest polymorph listed for this composition   41 meV/atom
Energy of formation from the pure elements   -2.969 eV per atom



# 2
## YSnRh (r2SCAN)

Data for an optimized crystal structure of YSnRh.

Unit cell a=7.5876 b=7.5876 c=3.7867 alpha=90.00 beta=90.00 gamma=120.00
Space group P-62m (No. 189)
Unique sites:
1 Y 0.0000 0.4057 0.0000 (multiplicity 3)
2 Sn 0.0000 0.7372 0.5000 (multiplicity 3)
3 Rh 0.0000 0.0000 0.0000 (multiplicity 1)
4 Rh 0.3333 0.6667 0.5000 (multiplicity 2)

Total energy   -0.8828 hartree per atom
Energy of formation from the pure elements   -0.957 eV per atom